Record 1
## Dy3FeB7 (GGA-PBE)

Data for a relaxed structure of Dy3FeB7.

```
Dy3FeB7
1.0
1.711 -7.851 0.000
1.711 7.851 0.000
0.000 0.000 9.309
Dy Fe B
6 2 14
Direct
0.105 0.895 0.560
0.105 0.895 0.940
0.243 0.757 0.250
0.757 0.243 0.750
0.895 0.105 0.060
0.895 0.105 0.440
0.054 0.946 0.250
0.946 0.054 0.750
0.273 0.727 0.533
0.273 0.727 0.967
0.370 0.630 0.653
0.370 0.630 0.847
0.460 0.540 0.250
0.478 0.522 0.599
0.478 0.522 0.901
0.522 0.478 0.099
0.522 0.478 0.401
0.540 0.460 0.750
0.630 0.370 0.153
0.630 0.370 0.347
0.727 0.273 0.033
0.727 0.273 0.467
```

Values from the calculation:
* symmetry: Cmcm (63)
* ΔH_f (0 K): -593.8 meV/atom

Record 2
## DyFeB4 (GGA-PBE)

Data for a relaxed structure of DyFeB4.

```
DyFeB4
1.0
5.886 0.000 0.000
0.000 11.385 0.000
0.000 0.000 3.380
Dy Fe B
4 4 16
Direct
0.128 0.150 0.000
0.372 0.650 0.000
0.628 0.350 0.000
0.872 0.850 0.000
0.134 0.412 0.000
0.366 0.912 0.000
0.634 0.088 0.000
0.866 0.588 0.000
0.023 0.690 0.500
0.111 0.546 0.500
0.139 0.968 0.500
0.217 0.816 0.500
0.283 0.316 0.500
0.361 0.468 0.500
0.389 0.046 0.500
0.477 0.190 0.500
0.523 0.810 0.500
0.611 0.954 0.500
0.639 0.532 0.500
0.717 0.684 0.500
0.783 0.184 0.500
0.861 0.032 0.500
0.889 0.454 0.500
0.977 0.310 0.500
```

Values from the calculation:
* symmetry: Pbam (55)
* ΔH_f (0 K): -615.3 meV/atom

Record 3
## NdDyFe14B (GGA-PBE)

Data for a relaxed structure of NdDyFe14B.

```
NdDyFe14B
1.0
8.748 0.000 0.000
0.000 8.748 0.000
0.000 0.000 12.053
Nd Dy Fe B
4 4 56 4
Direct
0.140 0.140 0.000
0.360 0.640 0.500
0.640 0.360 0.500
0.860 0.860 0.000
0.229 0.229 0.500
0.271 0.729 0.000
0.729 0.271 0.000
0.771 0.771 0.500
0.000 0.000 0.386
0.000 0.000 0.614
0.000 0.500 0.000
0.000 0.500 0.500
0.039 0.640 0.175
0.039 0.640 0.825
0.067 0.724 0.373
0.067 0.724 0.627
0.098 0.902 0.204
0.098 0.902 0.796
0.140 0.461 0.325
0.140 0.461 0.675
0.182 0.182 0.256
0.182 0.182 0.744
0.224 0.433 0.127
0.224 0.433 0.873
0.276 0.933 0.373
0.276 0.933 0.627
0.318 0.682 0.244
0.318 0.682 0.756
0.360 0.961 0.175
0.360 0.961 0.825
0.402 0.402 0.296
0.402 0.402 0.704
0.433 0.224 0.127
0.433 0.224 0.873
0.461 0.140 0.325
0.461 0.140 0.675
0.500 0.000 0.000
0.500 0.000 0.500
0.500 0.500 0.114
0.500 0.500 0.886
0.539 0.860 0.325
0.539 0.860 0.675
0.567 0.776 0.127
0.567 0.776 0.873
0.598 0.598 0.296
0.598 0.598 0.704
0.640 0.039 0.175
0.640 0.039 0.825
0.682 0.318 0.244
0.682 0.318 0.756
0.724 0.067 0.373
0.724 0.067 0.627
0.776 0.567 0.127
0.776 0.567 0.873
0.818 0.818 0.256
0.818 0.818 0.744
0.860 0.539 0.325
0.860 0.539 0.675
0.902 0.098 0.204
0.902 0.098 0.796
0.933 0.276 0.373
0.933 0.276 0.627
0.961 0.360 0.175
0.961 0.360 0.825
0.125 0.875 0.500
0.375 0.375 0.000
0.625 0.625 0.000
0.875 0.125 0.500
```

Values from the calculation:
* magnetic moment: 124.7 μB/cell
* symmetry: P4_2/mnm (136)
* ΔH_f (0 K): -86.0 meV/atom

Record 4
## DyTmFe14B (GGA-PBE)

Data for a relaxed structure of DyTmFe14B.

```
DyTmFe14B
1.0
8.706 0.000 0.000
0.000 8.706 0.000
0.000 0.000 11.872
Dy Tm Fe B
4 4 56 4
Direct
0.233 0.233 0.000
0.267 0.733 0.500
0.733 0.267 0.500
0.767 0.767 0.000
0.144 0.144 0.500
0.356 0.644 0.000
0.644 0.356 0.000
0.856 0.856 0.500
0.000 0.000 0.115
0.000 0.000 0.885
0.000 0.500 0.000
0.000 0.500 0.500
0.037 0.642 0.326
0.037 0.642 0.674
0.066 0.725 0.127
0.066 0.725 0.873
0.097 0.903 0.300
0.097 0.903 0.700
0.142 0.463 0.174
0.142 0.463 0.826
0.183 0.183 0.247
0.183 0.183 0.753
0.225 0.434 0.373
0.225 0.434 0.627
0.275 0.934 0.127
0.275 0.934 0.873
0.317 0.683 0.253
0.317 0.683 0.747
0.358 0.963 0.326
0.358 0.963 0.674
0.403 0.403 0.200
0.403 0.403 0.800
0.434 0.225 0.373
0.434 0.225 0.627
0.463 0.142 0.174
0.463 0.142 0.826
0.500 0.000 0.000
0.500 0.000 0.500
0.500 0.500 0.385
0.500 0.500 0.615
0.537 0.858 0.174
0.537 0.858 0.826
0.566 0.775 0.373
0.566 0.775 0.627
0.597 0.597 0.200
0.597 0.597 0.800
0.642 0.037 0.326
0.642 0.037 0.674
0.683 0.317 0.253
0.683 0.317 0.747
0.725 0.066 0.127
0.725 0.066 0.873
0.775 0.566 0.373
0.775 0.566 0.627
0.817 0.817 0.247
0.817 0.817 0.753
0.858 0.537 0.174
0.858 0.537 0.826
0.903 0.097 0.300
0.903 0.097 0.700
0.934 0.275 0.127
0.934 0.275 0.873
0.963 0.358 0.326
0.963 0.358 0.674
0.128 0.872 0.000
0.372 0.372 0.500
0.628 0.628 0.500
0.872 0.128 0.000
```

Values from the calculation:
* magnetic moment: 123.9 μB/cell
* symmetry: P4_2/mnm (136)
* ΔH_f (0 K): -113.1 meV/atom

Results for E: -6.87, -7.25, -8.01, -8.02 (in eV per atom, following the order of the records).